# 1
# Rb2ZnH12Se2O14

An optimized crystal structure of Rb2ZnH12Se2O14 (PBE-GGA, Materials Project).

Cell lengths 6.456, 12.809, 9.415 Å; angles 90.00, 104.73, 90.00 degrees
Element x y z (fractional)
1 Rb 0.156 0.154 0.366
2 Rb 0.156 0.346 0.866
3 Rb 0.844 0.654 0.134
4 Rb 0.844 0.846 0.634
5 Zn 0.500 0.000 0.000
6 Zn 0.500 0.500 0.500
7 H 0.166 0.558 0.597
8 H 0.166 0.942 0.097
9 H 0.176 0.638 0.472
10 H 0.176 0.862 0.972
11 H 0.182 0.091 0.793
12 H 0.182 0.409 0.293
13 H 0.403 0.127 0.759
14 H 0.403 0.373 0.259
15 H 0.429 0.596 0.230
16 H 0.429 0.904 0.730
17 H 0.499 0.683 0.353
18 H 0.499 0.817 0.853
19 H 0.501 0.183 0.147
20 H 0.501 0.317 0.647
21 H 0.571 0.096 0.270
22 H 0.571 0.404 0.770
23 H 0.597 0.627 0.741
24 H 0.597 0.873 0.241
25 H 0.818 0.591 0.707
26 H 0.818 0.909 0.207
27 H 0.824 0.138 0.028
28 H 0.824 0.362 0.528
29 H 0.834 0.058 0.903
30 H 0.834 0.442 0.403
31 Se 0.233 0.640 0.904
32 Se 0.233 0.860 0.404
33 Se 0.767 0.140 0.596
34 Se 0.767 0.360 0.096
35 O 0.077 0.743 0.914
36 O 0.077 0.757 0.414
37 O 0.100 0.565 0.764
38 O 0.100 0.935 0.264
39 O 0.207 0.564 0.503
40 O 0.207 0.936 0.003
41 O 0.275 0.570 0.057
42 O 0.275 0.930 0.557
43 O 0.332 0.112 0.839
44 O 0.332 0.388 0.339
45 O 0.466 0.682 0.874
46 O 0.466 0.818 0.374
47 O 0.473 0.110 0.171
48 O 0.473 0.390 0.671
49 O 0.527 0.610 0.329
50 O 0.527 0.890 0.829
51 O 0.534 0.182 0.626
52 O 0.534 0.318 0.126
53 O 0.668 0.612 0.661
54 O 0.668 0.888 0.161
55 O 0.725 0.070 0.443
56 O 0.725 0.430 0.943
57 O 0.793 0.064 0.997
58 O 0.793 0.436 0.497
59 O 0.900 0.065 0.736
60 O 0.900 0.435 0.236
61 O 0.923 0.243 0.586
62 O 0.923 0.257 0.086

Output
**Calculated total energy**: -154.9 eV/f.u.
**Total magnetization**: 0.000 μB/f.u.
**V**: 12.15 Å³ per atom
**Energy relative to the elements**: -1.428 eV/atom
**SG**: P2_1/c

# 2
# Rb5SiHO5

An optimized crystal structure of Rb5SiHO5 (PBE-GGA, Materials Project).

Cell lengths 6.664, 6.664, 12.179 Å; angles 99.38, 99.38, 111.58 degrees
Element x y z (fractional)
1 Rb 0.114 0.593 0.698
2 Rb 0.194 0.806 0.000
3 Rb 0.233 0.233 0.468
4 Rb 0.287 0.287 0.898
5 Rb 0.407 0.886 0.302
6 Rb 0.593 0.114 0.698
7 Rb 0.713 0.713 0.102
8 Rb 0.767 0.767 0.532
9 Rb 0.806 0.194 0.000
10 Rb 0.886 0.407 0.302
11 Si 0.330 0.330 0.195
12 Si 0.670 0.670 0.805
13 H 0.283 0.717 0.500
14 H 0.717 0.283 0.500
15 O 0.110 0.110 0.200
16 O 0.195 0.805 0.500
17 O 0.247 0.494 0.125
18 O 0.479 0.479 0.327
19 O 0.494 0.247 0.125
20 O 0.506 0.753 0.875
21 O 0.521 0.521 0.673
22 O 0.753 0.506 0.875
23 O 0.805 0.195 0.500
24 O 0.890 0.890 0.800

Output
**Calculated total energy**: -59.9 eV/f.u.
**Total magnetization**: 0.000 μB/f.u.
**V**: 20.06 Å³ per atom
**Energy relative to the elements**: -2.071 eV/atom
**SG**: C2/m